(1)
DFT (PBE-GGA) results for crystalline Sr8Rh5 at its relaxed geometry.

a b c (Å): 7.316 7.316 7.316
angles (deg): 90.00 90.00 90.00
Positions (direct):
Sr 0.249 0.249 0.249
Sr 0.249 0.249 0.751
Sr 0.249 0.751 0.249
Sr 0.249 0.751 0.751
Sr 0.751 0.249 0.249
Sr 0.751 0.249 0.751
Sr 0.751 0.751 0.249
Sr 0.751 0.751 0.751
Rh 0.000 0.000 0.000
Rh 0.000 0.000 0.500
Rh 0.000 0.500 0.000
Rh 0.500 0.000 0.000
Rh 0.500 0.500 0.500

Results
DFT total energy	-3.994	eV/atom
crystal system	cubic
space-group type	No. 221


(2)
DFT (PBE-GGA) results for crystalline TaRh2 at its relaxed geometry.

a b c (Å): 5.478 4.150 8.178
angles (deg): 90.00 90.00 90.00
Positions (direct):
Ta 0.172 0.250 0.105
Ta 0.328 0.750 0.605
Ta 0.672 0.250 0.395
Ta 0.828 0.750 0.895
Rh 0.072 0.250 0.776
Rh 0.155 0.250 0.431
Rh 0.345 0.750 0.931
Rh 0.428 0.750 0.276
Rh 0.572 0.250 0.724
Rh 0.655 0.250 0.069
Rh 0.845 0.750 0.569
Rh 0.928 0.750 0.224

Results
DFT total energy	-9.433	eV/atom
crystal system	orthorhombic
space-group type	No. 62


(3)
DFT (PBE-GGA) results for crystalline TaTe4Rh at its relaxed geometry.

a b c (Å): 3.782 12.791 13.570
angles (deg): 90.00 90.00 90.00
Positions (direct):
Ta 0.000 0.053 0.000
Ta 0.000 0.268 0.488
Ta 0.500 0.732 0.988
Ta 0.500 0.947 0.500
Te 0.000 0.066 0.389
Te 0.000 0.192 0.853
Te 0.000 0.347 0.088
Te 0.000 0.411 0.632
Te 0.000 0.565 0.396
Te 0.000 0.676 0.846
Te 0.000 0.850 0.102
Te 0.000 0.891 0.641
Te 0.500 0.109 0.141
Te 0.500 0.150 0.602
Te 0.500 0.324 0.346
Te 0.500 0.435 0.896
Te 0.500 0.589 0.132
Te 0.500 0.653 0.588
Te 0.500 0.808 0.353
Te 0.500 0.934 0.889
Rh 0.000 0.535 0.996
Rh 0.000 0.754 0.489
Rh 0.500 0.246 0.989
Rh 0.500 0.465 0.496

Results
DFT total energy	-5.711	eV/atom
crystal system	orthorhombic
space-group type	No. 31


(4)
DFT (PBE-GGA) results for crystalline Tb7Rh3 at its relaxed geometry.

a b c (Å): 9.857 9.857 6.216
angles (deg): 90.00 90.00 120.00
Positions (direct):
Tb 0.081 0.541 0.000
Tb 0.124 0.248 0.310
Tb 0.124 0.876 0.310
Tb 0.248 0.124 0.810
Tb 0.333 0.667 0.514
Tb 0.459 0.541 0.000
Tb 0.459 0.919 0.000
Tb 0.541 0.081 0.500
Tb 0.541 0.459 0.500
Tb 0.667 0.333 0.014
Tb 0.752 0.876 0.310
Tb 0.876 0.124 0.810
Tb 0.876 0.752 0.810
Tb 0.919 0.459 0.500
Rh 0.190 0.380 0.736
Rh 0.190 0.810 0.736
Rh 0.380 0.190 0.236
Rh 0.620 0.810 0.736
Rh 0.810 0.190 0.236
Rh 0.810 0.620 0.236

Results
DFT total energy	-6.055	eV/atom
crystal system	hexagonal
space-group type	No. 186


(5)
DFT (PBE-GGA) results for crystalline Tb4Rh at its relaxed geometry.

a b c (Å): 7.631 7.631 7.631
angles (deg): 60.00 60.00 60.00
Positions (direct):
Tb 0.209 0.764 0.764
Tb 0.236 0.236 0.236
Tb 0.236 0.236 0.791
Tb 0.236 0.791 0.236
Tb 0.764 0.209 0.764
Tb 0.764 0.764 0.209
Tb 0.764 0.764 0.764
Tb 0.791 0.236 0.236
Rh 0.375 0.375 0.375
Rh 0.625 0.625 0.625

Results
DFT total energy	-5.100	eV/atom
crystal system	cubic
space-group type	No. 227


(6)
DFT (PBE-GGA) results for crystalline Tb5Rh3 at its relaxed geometry.

a b c (Å): 8.334 8.334 6.339
angles (deg): 90.00 90.00 120.00
Positions (direct):
Tb 0.000 0.255 0.250
Tb 0.000 0.745 0.750
Tb 0.255 0.000 0.250
Tb 0.255 0.255 0.750
Tb 0.333 0.667 0.000
Tb 0.333 0.667 0.500
Tb 0.667 0.333 0.000
Tb 0.667 0.333 0.500
Tb 0.745 0.000 0.750
Tb 0.745 0.745 0.250
Rh 0.000 0.393 0.750
Rh 0.000 0.607 0.250
Rh 0.393 0.000 0.750
Rh 0.393 0.393 0.250
Rh 0.607 0.000 0.250
Rh 0.607 0.607 0.750

Results
DFT total energy	-6.353	eV/atom
crystal system	hexagonal
space-group type	No. 193


(7)
DFT (PBE-GGA) results for crystalline Tb3Rh at its relaxed geometry.

a b c (Å): 7.165 9.565 6.288
angles (deg): 90.00 90.00 90.00
Positions (direct):
Tb 0.031 0.250 0.134
Tb 0.178 0.063 0.669
Tb 0.178 0.437 0.669
Tb 0.322 0.563 0.169
Tb 0.322 0.937 0.169
Tb 0.469 0.750 0.634
Tb 0.531 0.250 0.366
Tb 0.678 0.063 0.831
Tb 0.678 0.437 0.831
Tb 0.822 0.563 0.331
Tb 0.822 0.937 0.331
Tb 0.969 0.750 0.866
Rh 0.118 0.750 0.438
Rh 0.382 0.250 0.938
Rh 0.618 0.750 0.062
Rh 0.882 0.250 0.562

Results
DFT total energy	-5.825	eV/atom
crystal system	orthorhombic
space-group type	No. 62


(8)
DFT (PBE-GGA) results for crystalline TbYRh2 at its relaxed geometry.

a b c (Å): 6.891 6.891 6.891
angles (deg): 90.00 90.00 90.00
Positions (direct):
Tb 0.000 0.000 0.000
Tb 0.000 0.500 0.500
Tb 0.500 0.000 0.500
Tb 0.500 0.500 0.000
Y 0.000 0.000 0.500
Y 0.000 0.500 0.000
Y 0.500 0.000 0.000
Y 0.500 0.500 0.500
Rh 0.250 0.250 0.250
Rh 0.250 0.250 0.750
Rh 0.250 0.750 0.250
Rh 0.250 0.750 0.750
Rh 0.750 0.250 0.250
Rh 0.750 0.250 0.750
Rh 0.750 0.750 0.250
Rh 0.750 0.750 0.750

Results
DFT total energy	-7.301	eV/atom
crystal system	cubic
space-group type	No. 225


(9)
DFT (PBE-GGA) results for crystalline TbZnRh at its relaxed geometry.

a b c (Å): 6.963 4.065 8.156
angles (deg): 90.00 90.00 90.00
Positions (direct):
Tb 0.039 0.250 0.184
Tb 0.461 0.750 0.684
Tb 0.539 0.250 0.316
Tb 0.961 0.750 0.816
Zn 0.137 0.250 0.563
Zn 0.363 0.750 0.063
Zn 0.637 0.250 0.937
Zn 0.863 0.750 0.437
Rh 0.244 0.750 0.377
Rh 0.256 0.250 0.877
Rh 0.744 0.750 0.123
Rh 0.756 0.250 0.623

Results
DFT total energy	-5.148	eV/atom
crystal system	orthorhombic
space-group type	No. 62


(10)
DFT (PBE-GGA) results for crystalline TbZnRh2 at its relaxed geometry.

a b c (Å): 6.484 6.484 6.484
angles (deg): 90.00 90.00 90.00
Positions (direct):
Tb 0.000 0.000 0.000
Tb 0.000 0.500 0.500
Tb 0.500 0.000 0.500
Tb 0.500 0.500 0.000
Zn 0.000 0.000 0.500
Zn 0.000 0.500 0.000
Zn 0.500 0.000 0.000
Zn 0.500 0.500 0.500
Rh 0.250 0.250 0.250
Rh 0.250 0.250 0.750
Rh 0.250 0.750 0.250
Rh 0.250 0.750 0.750
Rh 0.750 0.250 0.250
Rh 0.750 0.250 0.750
Rh 0.750 0.750 0.250
Rh 0.750 0.750 0.750

Results
DFT total energy	-5.792	eV/atom
crystal system	cubic
space-group type	No. 225


(11)
DFT (PBE-GGA) results for crystalline TcRh at its relaxed geometry.

a b c (Å): 2.745 2.745 4.364
angles (deg): 90.00 90.00 120.00
Positions (direct):
Tc 0.000 0.000 0.000
Rh 0.333 0.667 0.500

Results
DFT total energy	-8.968	eV/atom
crystal system	hexagonal
space-group type	No. 187


(12)
DFT (PBE-GGA) results for crystalline Tc3Rh at its relaxed geometry.

a b c (Å): 5.526 5.526 4.364
angles (deg): 90.00 90.00 120.00
Positions (direct):
Tc 0.161 0.322 0.250
Tc 0.161 0.839 0.250
Tc 0.322 0.161 0.750
Tc 0.678 0.839 0.250
Tc 0.839 0.161 0.750
Tc 0.839 0.678 0.750
Rh 0.333 0.667 0.750
Rh 0.667 0.333 0.250

Results
DFT total energy	-9.768	eV/atom
crystal system	hexagonal
space-group type	No. 194


(13)
DFT (PBE-GGA) results for crystalline TcRh3 at its relaxed geometry.

a b c (Å): 5.504 5.504 4.341
angles (deg): 90.00 90.00 120.00
Positions (direct):
Tc 0.333 0.667 0.250
Tc 0.667 0.333 0.750
Rh 0.168 0.335 0.750
Rh 0.168 0.832 0.750
Rh 0.335 0.168 0.250
Rh 0.665 0.832 0.750
Rh 0.832 0.168 0.250
Rh 0.832 0.665 0.250

Results
DFT total energy	-8.182	eV/atom
crystal system	hexagonal
space-group type	No. 194


(14)
DFT (PBE-GGA) results for crystalline Zr2TcRh at its relaxed geometry.

a b c (Å): 6.602 6.602 6.602
angles (deg): 90.00 90.00 90.00
Positions (direct):
Zr 0.250 0.250 0.250
Zr 0.250 0.250 0.750
Zr 0.250 0.750 0.250
Zr 0.250 0.750 0.750
Zr 0.750 0.250 0.250
Zr 0.750 0.250 0.750
Zr 0.750 0.750 0.250
Zr 0.750 0.750 0.750
Tc 0.000 0.000 0.000
Tc 0.000 0.500 0.500
Tc 0.500 0.000 0.500
Tc 0.500 0.500 0.000
Rh 0.000 0.000 0.500
Rh 0.000 0.500 0.000
Rh 0.500 0.000 0.000
Rh 0.500 0.500 0.500

Results
DFT total energy	-9.341	eV/atom
crystal system	cubic
space-group type	No. 225


(15)
DFT (PBE-GGA) results for crystalline Te2Rh at its relaxed geometry.

a b c (Å): 3.962 3.962 5.516
angles (deg): 90.00 90.00 120.00
Positions (direct):
Te 0.333 0.667 0.250
Te 0.667 0.333 0.750
Rh 0.000 0.000 0.500

Results
DFT total energy	-4.942	eV/atom
crystal system	trigonal
space-group type	No. 164


(16)
DFT (PBE-GGA) results for crystalline Te16Rh11 at its relaxed geometry.

a b c (Å): 7.383 9.394 10.258
angles (deg): 96.35 94.82 112.06
Positions (direct):
Te 0.008 0.118 0.131
Te 0.074 0.394 0.729
Te 0.139 0.952 0.371
Te 0.265 0.388 0.446
Te 0.303 0.425 0.073
Te 0.349 0.754 0.626
Te 0.449 0.803 0.966
Te 0.457 0.765 0.291
Te 0.543 0.235 0.709
Te 0.551 0.197 0.034
Te 0.651 0.246 0.374
Te 0.697 0.575 0.927
Te 0.735 0.612 0.554
Te 0.861 0.048 0.629
Te 0.926 0.606 0.271
Te 0.992 0.882 0.869
Rh 0.000 0.500 0.500
Rh 0.050 0.861 0.615
Rh 0.153 0.633 0.089
Rh 0.230 0.955 0.102
Rh 0.366 0.991 0.825
Rh 0.454 0.486 0.698
Rh 0.546 0.514 0.302
Rh 0.634 0.009 0.175
Rh 0.770 0.045 0.898
Rh 0.847 0.367 0.911
Rh 0.950 0.139 0.385

Results
DFT total energy	-5.017	eV/atom
crystal system	triclinic
space-group type	No. 2


(17)
DFT (PBE-GGA) results for crystalline Te2Rh3 at its relaxed geometry.

a b c (Å): 6.567 6.567 7.833
angles (deg): 90.00 90.00 146.78
Positions (direct):
Te 0.000 0.000 0.000
Te 0.000 0.000 0.500
Te 0.253 0.747 0.750
Te 0.747 0.253 0.250
Rh 0.339 0.661 0.060
Rh 0.339 0.661 0.440
Rh 0.464 0.536 0.750
Rh 0.536 0.464 0.250
Rh 0.661 0.339 0.560
Rh 0.661 0.339 0.940

Results
DFT total energy	-5.931	eV/atom
crystal system	orthorhombic
space-group type	No. 63


(18)
DFT (PBE-GGA) results for crystalline Te2Rh at its relaxed geometry.

a b c (Å): 6.542 6.542 6.542
angles (deg): 90.00 90.00 90.00
Positions (direct):
Te 0.132 0.132 0.132
Te 0.132 0.368 0.632
Te 0.368 0.632 0.132
Te 0.368 0.868 0.632
Te 0.632 0.132 0.368
Te 0.632 0.368 0.868
Te 0.868 0.632 0.368
Te 0.868 0.868 0.868
Rh 0.000 0.000 0.500
Rh 0.000 0.500 0.000
Rh 0.500 0.000 0.000
Rh 0.500 0.500 0.500

Results
DFT total energy	-4.951	eV/atom
crystal system	cubic
space-group type	No. 205


(19)
DFT (PBE-GGA) results for crystalline Y6Te2Rh at its relaxed geometry.

a b c (Å): 21.881 4.024 11.545
angles (deg): 90.00 90.00 90.00
Positions (direct):
Y 0.009 0.250 0.117
Y 0.023 0.750 0.380
Y 0.110 0.250 0.817
Y 0.145 0.750 0.069
Y 0.151 0.250 0.537
Y 0.234 0.750 0.746
Y 0.266 0.250 0.246
Y 0.349 0.750 0.037
Y 0.355 0.250 0.569
Y 0.390 0.750 0.317
Y 0.477 0.250 0.880
Y 0.491 0.750 0.617
Y 0.509 0.250 0.383
Y 0.523 0.750 0.120
Y 0.610 0.250 0.683
Y 0.645 0.750 0.431
Y 0.651 0.250 0.963
Y 0.734 0.750 0.754
Y 0.766 0.250 0.254
Y 0.849 0.750 0.463
Y 0.855 0.250 0.931
Y 0.890 0.750 0.183
Y 0.977 0.250 0.620
Y 0.991 0.750 0.883
Te 0.126 0.250 0.272
Te 0.240 0.250 0.963
Te 0.260 0.750 0.463
Te 0.374 0.750 0.772
Te 0.626 0.250 0.228
Te 0.740 0.250 0.537
Te 0.760 0.750 0.037
Te 0.874 0.750 0.728
Rh 0.072 0.750 0.647
Rh 0.428 0.250 0.147
Rh 0.572 0.750 0.853
Rh 0.928 0.250 0.353

Results
DFT total energy	-6.661	eV/atom
crystal system	orthorhombic
space-group type	No. 62


(20)
DFT (PBE-GGA) results for crystalline ThRh3 at its relaxed geometry.

a b c (Å): 4.137 4.137 4.137
angles (deg): 90.00 90.00 90.00
Positions (direct):
Th 0.000 0.000 0.000
Rh 0.000 0.500 0.500
Rh 0.500 0.000 0.500
Rh 0.500 0.500 0.000

Results
DFT total energy	-8.094	eV/atom
crystal system	cubic
space-group type	No. 221